# Li17Fe4C16O48

Li17Fe4C16O48 after structural relaxation (GGA+U, the Materials Project database).

The structure in POSCAR format:
```
Li17Fe4C16O48
1.0
8.5077 0.0000 0.0000
-0.1010 9.7285 0.0000
-0.2563 -0.0345 11.2741
Li Fe C O
17 4 16 48
Direct
0.0000 0.0000 0.0000
0.0008 0.5150 0.1657
0.0423 0.9410 0.2718
0.1548 0.7462 0.0696
0.2539 0.2498 0.6262
0.3703 0.4480 0.4268
0.4052 0.4966 0.7006
0.4095 0.9884 0.7736
0.4224 0.0145 0.5190
0.4933 0.6971 0.1720
0.5136 0.2142 0.0046
0.5201 0.7250 0.9222
0.6574 0.4583 0.0829
0.7614 0.9561 0.6208
0.8998 0.2272 0.7911
0.9087 0.7084 0.6950
0.9172 0.1939 0.5288
0.1767 0.2493 0.1467
0.2366 0.7507 0.5545
0.6688 0.9682 0.1461
0.7404 0.4624 0.5516
0.0847 0.4862 0.5646
0.0923 0.9890 0.6423
0.1751 0.7075 0.3397
0.2102 0.2234 0.8794
0.2202 0.7412 0.8159
0.2400 0.2026 0.3604
0.3265 0.9889 0.1317
0.3310 0.4915 0.0532
0.5794 0.7197 0.5673
0.5891 0.2187 0.6419
0.6591 0.5003 0.3424
0.6999 0.9830 0.8836
0.7097 0.4736 0.8142
0.7501 0.9991 0.3572
0.8181 0.7214 0.0609
0.8360 0.2234 0.1345
0.0519 0.6163 0.5743
0.0647 0.1187 0.6493
0.0828 0.7004 0.8402
0.1139 0.6794 0.2394
0.1178 0.1887 0.9667
0.1410 0.1245 0.3002
0.1455 0.8232 0.3965
0.1668 0.3176 0.8088
0.1859 0.9438 0.1169
0.1948 0.4444 0.0886
0.2253 0.4425 0.5757
0.2400 0.9486 0.6259
0.2718 0.6282 0.3983
0.2728 0.3188 0.3063
0.2917 0.8374 0.8746
0.2960 0.6826 0.7284
0.3000 0.1715 0.4601
0.3398 0.1593 0.8657
0.3514 0.6231 0.0440
0.3611 0.1196 0.1247
0.4389 0.4060 0.0302
0.4400 0.9033 0.1551
0.4657 0.8055 0.5407
0.4817 0.3063 0.6574
0.5449 0.5877 0.5701
0.5668 0.0873 0.6493
0.5887 0.5444 0.8431
0.5948 0.5378 0.2455
0.6020 0.3988 0.4066
0.6213 0.0318 0.9738
0.6275 0.0586 0.3097
0.6381 0.8816 0.8260
0.6739 0.7715 0.0777
0.6989 0.2675 0.1161
0.7172 0.7632 0.5888
0.7326 0.2640 0.6166
0.7461 0.3626 0.8648
0.7818 0.5601 0.3912
0.7938 0.5218 0.7264
0.8081 0.9019 0.2902
0.8113 0.0343 0.4562
0.8309 0.0388 0.8559
0.8353 0.5915 0.0634
0.8672 0.0915 0.1288
0.9288 0.8077 0.0431
0.9529 0.3076 0.1613
0.9693 0.3997 0.5428
0.9868 0.8964 0.6495
```

Properties
* ΔE_f: -190 kJ per mole of atoms